No. 1
A plane-wave DFT calculation with PBE-GGA was carried out for a relaxed Na3Ti3AlSi3S3O24 crystal.

Results
**SG**: P1 (1)
**Total energy**: -7.1275 eV per atom
**Magnetic moment**: 0.0 Bohr magnetons per cell
**Energy relative to the elements**: -101.37 eV per formula unit

Lattice parameters (Å, degrees): 8.700 8.724 22.279 89.94 90.07 120.11
Sites, in units of the cell vectors:
Na (0.359, 0.362, 0.246)
Na (0.637, 0.633, 0.751)
Na (0.970, 0.296, 0.415)
Na (0.997, 0.998, 0.499)
Na (0.999, 0.994, 0.001)
Na (0.666, 0.331, 0.833)
Na (0.668, 0.328, 0.331)
Na (0.320, 0.666, 0.165)
Na (0.314, 0.660, 0.666)
Ti (0.005, 0.986, 0.852)
Ti (0.015, 0.017, 0.647)
Ti (0.014, 0.016, 0.142)
Ti (0.664, 0.357, 0.981)
Ti (0.662, 0.315, 0.478)
Ti (0.340, 0.659, 0.026)
Ti (0.333, 0.649, 0.519)
Ti (0.338, 0.661, 0.314)
Ti (0.324, 0.650, 0.811)
Al (0.993, 0.013, 0.354)
Al (0.679, 0.342, 0.689)
Al (0.689, 0.343, 0.182)
Si (0.987, 0.287, 0.251)
Si (0.295, 0.284, 0.750)
Si (0.003, 0.709, 0.747)
Si (0.952, 0.334, 0.586)
Si (0.957, 0.626, 0.085)
Si (0.390, 0.336, 0.088)
Si (0.624, 0.673, 0.916)
Si (0.621, 0.945, 0.416)
Si (0.337, 0.369, 0.415)
S (0.285, 0.997, 0.251)
S (0.719, 0.716, 0.252)
S (0.712, 0.006, 0.750)
S (0.382, 0.046, 0.585)
S (0.668, 0.620, 0.584)
S (0.666, 0.050, 0.084)
S (0.043, 0.375, 0.917)
S (0.337, 0.954, 0.917)
S (0.046, 0.674, 0.416)
O (0.199, 0.025, 0.304)
O (0.827, 0.799, 0.305)
O (0.968, 0.173, 0.311)
O (0.195, 0.163, 0.809)
O (0.961, 0.799, 0.807)
O (0.821, 0.034, 0.804)
O (0.790, 0.969, 0.696)
O (0.166, 0.202, 0.691)
O (0.029, 0.839, 0.690)
O (0.797, 0.820, 0.197)
O (0.032, 0.194, 0.194)
O (0.178, 0.969, 0.196)
O (0.853, 0.359, 0.642)
O (0.489, 0.133, 0.638)
O (0.638, 0.514, 0.640)
O (0.874, 0.500, 0.142)
O (0.638, 0.129, 0.138)
O (0.502, 0.359, 0.148)
O (0.473, 0.302, 0.027)
O (0.833, 0.532, 0.025)
O (0.695, 0.155, 0.029)
O (0.461, 0.155, 0.530)
O (0.689, 0.535, 0.531)
O (0.836, 0.308, 0.523)
O (0.523, 0.695, 0.974)
O (0.153, 0.461, 0.971)
O (0.306, 0.847, 0.971)
O (0.520, 0.827, 0.476)
O (0.291, 0.462, 0.473)
O (0.154, 0.703, 0.471)
O (0.124, 0.633, 0.363)
O (0.493, 0.859, 0.358)
O (0.365, 0.496, 0.357)
O (0.124, 0.487, 0.862)
O (0.356, 0.869, 0.862)
O (0.503, 0.643, 0.856)
O (0.027, 0.829, 0.406)
O (0.817, 0.971, 0.410)
O (0.161, 0.178, 0.407)
O (0.029, 0.201, 0.911)
O (0.176, 0.976, 0.911)
O (0.821, 0.850, 0.909)
O (0.972, 0.155, 0.591)
O (0.202, 0.028, 0.588)
O (0.825, 0.799, 0.589)
O (0.972, 0.819, 0.093)
O (0.824, 0.026, 0.091)
O (0.188, 0.163, 0.091)
O (0.690, 0.161, 0.742)
O (0.490, 0.311, 0.739)
O (0.825, 0.518, 0.742)
O (0.689, 0.532, 0.248)
O (0.811, 0.304, 0.242)
O (0.462, 0.160, 0.246)
O (0.641, 0.493, 0.921)
O (0.864, 0.354, 0.922)
O (0.498, 0.131, 0.921)
O (0.649, 0.149, 0.424)
O (0.516, 0.363, 0.426)
O (0.868, 0.510, 0.422)
O (0.364, 0.509, 0.078)
O (0.155, 0.653, 0.072)
O (0.505, 0.870, 0.078)
O (0.363, 0.869, 0.579)
O (0.505, 0.638, 0.579)
O (0.151, 0.512, 0.576)
O (0.305, 0.839, 0.256)
O (0.534, 0.695, 0.256)
O (0.173, 0.487, 0.257)
O (0.319, 0.484, 0.757)
O (0.180, 0.696, 0.759)
O (0.534, 0.842, 0.756)

No. 2
A plane-wave DFT calculation with PBE-GGA was carried out for a relaxed ErSiRu2C crystal.

Results
**SG**: Cmcm (63)
**Total energy**: -8.1657 eV per atom
**Magnetic moment**: 0.0 Bohr magnetons per cell
**Energy relative to the elements**: -3.06 eV per formula unit

Lattice parameters (Å, degrees): 5.887 5.887 7.142 90.00 90.00 142.58
Sites, in units of the cell vectors:
Er (0.546, 0.454, 0.250)
Er (0.454, 0.546, 0.750)
Si (0.268, 0.732, 0.250)
Si (0.732, 0.268, 0.750)
Ru (0.837, 0.163, 0.056)
Ru (0.163, 0.837, 0.944)
Ru (0.163, 0.837, 0.556)
Ru (0.837, 0.163, 0.444)
C (0.000, 0.000, 0.000)
C (0.000, 0.000, 0.500)

No. 3
A plane-wave DFT calculation with PBE-GGA was carried out for a relaxed CsCe crystal.

Results
**SG**: P1 (1)
**Total energy**: -2.5773 eV per atom
**Magnetic moment**: 1.6 Bohr magnetons per cell
**Energy relative to the elements**: 1.67 eV per formula unit

Lattice parameters (Å, degrees): 3.761 3.723 7.543 90.48 89.58 120.97
Sites, in units of the cell vectors:
Cs (0.333, 0.667, 0.250)
Ce (0.667, 0.333, 0.750)

No. 4
A plane-wave DFT calculation with PBE-GGA was carried out for a relaxed Au crystal.

Results
**Offset from the most stable computed form**: 118 meV per atom
**SG**: P-1 (2)
**Total energy**: -3.1555 eV per atom
**Magnetic moment**: 0.0 Bohr magnetons per cell
**Energy relative to the elements**: 0.12 eV per formula unit

Lattice parameters (Å, degrees): 2.820 2.815 5.449 107.79 107.37 90.26
Sites, in units of the cell vectors:
Au (0.608, 0.601, 0.274)
Au (0.392, 0.399, 0.726)

No. 5
A plane-wave DFT calculation with PBE-GGA was carried out for a relaxed NaTi6O12 crystal.

Results
**SG**: Pmn2_1 (31)
**Total energy**: -8.5652 eV per atom
**Magnetic moment**: 2.0 Bohr magnetons per cell
**Energy relative to the elements**: -62.91 eV per formula unit

Lattice parameters (Å, degrees): 5.324 8.961 9.466 90.00 90.00 90.00
Sites, in units of the cell vectors:
Na (0.545, 0.500, 0.714)
Na (0.045, 0.000, 0.286)
Ti (0.968, 0.169, 0.890)
Ti (0.977, 0.500, 0.905)
Ti (0.968, 0.831, 0.890)
Ti (0.531, 0.830, 0.396)
Ti (0.540, 0.500, 0.383)
Ti (0.531, 0.170, 0.396)
Ti (0.468, 0.669, 0.110)
Ti (0.477, 0.000, 0.095)
Ti (0.468, 0.331, 0.110)
Ti (0.040, 0.000, 0.617)
Ti (0.031, 0.670, 0.604)
Ti (0.031, 0.330, 0.604)
O (0.834, 0.836, 0.516)
O (0.819, 0.500, 0.523)
O (0.834, 0.164, 0.516)
O (0.817, 0.669, 0.788)
O (0.817, 0.331, 0.788)
O (0.822, 0.000, 0.788)
O (0.686, 0.669, 0.286)
O (0.686, 0.331, 0.286)
O (0.660, 0.000, 0.285)
O (0.678, 0.834, 0.022)
O (0.678, 0.166, 0.022)
O (0.672, 0.500, 0.017)
O (0.334, 0.664, 0.484)
O (0.319, 0.000, 0.477)
O (0.334, 0.336, 0.484)
O (0.317, 0.169, 0.212)
O (0.317, 0.831, 0.212)
O (0.322, 0.500, 0.212)
O (0.186, 0.169, 0.714)
O (0.160, 0.500, 0.715)
O (0.186, 0.831, 0.714)
O (0.172, 0.000, 0.983)
O (0.178, 0.666, 0.978)
O (0.178, 0.334, 0.978)

No. 6
A plane-wave DFT calculation with PBE-GGA was carried out for a relaxed NaZnGa3S6O24 crystal.

Results
**SG**: P3 (143)
**Total energy**: -5.9121 eV per atom
**Magnetic moment**: 0.0 Bohr magnetons per cell
**Energy relative to the elements**: -68.18 eV per formula unit

Lattice parameters (Å, degrees): 8.493 8.493 22.250 90.00 90.00 120.00
Sites, in units of the cell vectors:
Na (0.000, 0.000, 0.998)
Na (0.667, 0.333, 0.835)
Na (0.667, 0.333, 0.333)
Zn (0.000, 0.000, 0.354)
Zn (0.000, 0.000, 0.851)
Zn (0.667, 0.333, 0.982)
Ga (0.000, 0.000, 0.648)
Ga (0.000, 0.000, 0.151)
Ga (0.667, 0.333, 0.683)
Ga (0.667, 0.333, 0.182)
Ga (0.667, 0.333, 0.483)
Ga (0.333, 0.667, 0.021)
Ga (0.333, 0.667, 0.520)
Ga (0.333, 0.667, 0.313)
Ga (0.333, 0.667, 0.812)
S (0.295, 0.000, 0.250)
S (0.705, 0.705, 0.250)
S (0.000, 0.295, 0.250)
S (0.295, 0.294, 0.749)
S (0.000, 0.705, 0.749)
S (0.706, 0.000, 0.749)
S (0.958, 0.333, 0.583)
S (0.374, 0.042, 0.583)
S (0.667, 0.626, 0.583)
S (0.962, 0.629, 0.084)
S (0.667, 0.038, 0.084)
S (0.371, 0.333, 0.084)
S (0.620, 0.667, 0.917)
S (0.047, 0.380, 0.917)
S (0.333, 0.953, 0.917)
S (0.620, 0.957, 0.418)
S (0.337, 0.380, 0.418)
S (0.043, 0.663, 0.418)
O (0.221, 0.038, 0.304)
O (0.818, 0.779, 0.304)
O (0.962, 0.182, 0.304)
O (0.222, 0.183, 0.803)
O (0.961, 0.778, 0.803)
O (0.817, 0.039, 0.803)
O (0.787, 0.968, 0.695)
O (0.181, 0.213, 0.695)
O (0.032, 0.819, 0.695)
O (0.785, 0.817, 0.195)
O (0.033, 0.215, 0.195)
O (0.183, 0.967, 0.195)
O (0.879, 0.370, 0.637)
O (0.491, 0.121, 0.637)
O (0.630, 0.509, 0.637)
O (0.881, 0.516, 0.138)
O (0.634, 0.119, 0.138)
O (0.484, 0.366, 0.138)
O (0.445, 0.295, 0.030)
O (0.850, 0.555, 0.030)
O (0.705, 0.150, 0.030)
O (0.454, 0.158, 0.529)
O (0.704, 0.546, 0.529)
O (0.842, 0.296, 0.529)
O (0.538, 0.695, 0.972)
O (0.157, 0.462, 0.972)
O (0.305, 0.843, 0.972)
O (0.537, 0.846, 0.472)
O (0.309, 0.463, 0.472)
O (0.154, 0.691, 0.472)
O (0.121, 0.626, 0.363)
O (0.505, 0.879, 0.363)
O (0.374, 0.495, 0.363)
O (0.129, 0.490, 0.861)
O (0.361, 0.871, 0.861)
O (0.510, 0.639, 0.861)
O (0.025, 0.823, 0.411)
O (0.798, 0.975, 0.411)
O (0.177, 0.202, 0.411)
O (0.032, 0.200, 0.912)
O (0.168, 0.968, 0.912)
O (0.800, 0.832, 0.912)
O (0.975, 0.170, 0.592)
O (0.194, 0.025, 0.592)
O (0.830, 0.806, 0.592)
O (0.982, 0.813, 0.092)
O (0.832, 0.018, 0.092)
O (0.187, 0.168, 0.092)
O (0.686, 0.165, 0.741)
O (0.479, 0.314, 0.741)
O (0.835, 0.521, 0.741)
O (0.685, 0.520, 0.241)
O (0.836, 0.315, 0.241)
O (0.480, 0.164, 0.241)
O (0.635, 0.502, 0.921)
O (0.867, 0.365, 0.921)
O (0.498, 0.133, 0.921)
O (0.634, 0.140, 0.424)
O (0.505, 0.366, 0.424)
O (0.860, 0.495, 0.424)
O (0.353, 0.496, 0.077)
O (0.143, 0.647, 0.077)
O (0.504, 0.857, 0.077)
O (0.357, 0.861, 0.575)
O (0.504, 0.643, 0.575)
O (0.139, 0.496, 0.575)
O (0.313, 0.836, 0.257)
O (0.524, 0.687, 0.257)
O (0.164, 0.476, 0.257)
O (0.313, 0.476, 0.756)
O (0.163, 0.687, 0.756)
O (0.524, 0.837, 0.756)

No. 7
A plane-wave DFT calculation with PBE-GGA was carried out for a relaxed Er2Pt2O5 crystal.

Results
**SG**: P4/mmm (123)
**Total energy**: -6.6200 eV per atom
**Magnetic moment**: 0.1 Bohr magnetons per cell
**Energy relative to the elements**: -17.00 eV per formula unit

Lattice parameters (Å, degrees): 3.757 3.757 9.006 90.00 90.00 90.00
Sites, in units of the cell vectors:
Er (0.500, 0.500, 0.260)
Er (0.500, 0.500, 0.740)
Pt (0.000, 0.000, 0.000)
Pt (0.000, 0.000, 0.500)
O (0.500, 0.000, 0.135)
O (0.500, 0.000, 0.865)
O (0.500, 0.500, 0.500)
O (0.000, 0.500, 0.135)
O (0.000, 0.500, 0.865)

No. 8
A plane-wave DFT calculation with PBE-GGA was carried out for a relaxed Li6Eu5Sn9 crystal.

Results
**SG**: Cmcm (63)
**Total energy**: -5.4706 eV per atom
**Magnetic moment**: 71.4 Bohr magnetons per cell
**Energy relative to the elements**: -10.59 eV per formula unit

Lattice parameters (Å, degrees): 4.860 14.758 15.091 90.00 90.00 99.48
Sites, in units of the cell vectors:
Li (0.839, 0.678, 0.027)
Li (0.161, 0.322, 0.973)
Li (0.839, 0.678, 0.473)
Li (0.161, 0.322, 0.527)
Li (0.098, 0.197, 0.153)
Li (0.902, 0.803, 0.847)
Li (0.098, 0.197, 0.347)
Li (0.902, 0.803, 0.653)
Li (0.736, 0.471, 0.948)
Li (0.264, 0.529, 0.052)
Li (0.736, 0.471, 0.552)
Li (0.264, 0.529, 0.448)
Eu (0.200, 0.401, 0.250)
Eu (0.800, 0.599, 0.750)
Eu (0.491, 0.983, 0.250)
Eu (0.509, 0.017, 0.750)
Eu (0.568, 0.135, 0.995)
Eu (0.432, 0.865, 0.005)
Eu (0.568, 0.135, 0.505)
Eu (0.432, 0.865, 0.495)
Eu (0.343, 0.686, 0.250)
Eu (0.657, 0.314, 0.750)
Sn (0.767, 0.534, 0.153)
Sn (0.233, 0.466, 0.847)
Sn (0.767, 0.534, 0.347)
Sn (0.233, 0.466, 0.653)
Sn (0.671, 0.342, 0.094)
Sn (0.329, 0.658, 0.906)
Sn (0.671, 0.342, 0.406)
Sn (0.329, 0.658, 0.594)
Sn (0.611, 0.222, 0.250)
Sn (0.389, 0.778, 0.750)
Sn (0.912, 0.824, 0.153)
Sn (0.088, 0.176, 0.847)
Sn (0.912, 0.824, 0.347)
Sn (0.088, 0.176, 0.653)
Sn (0.008, 0.016, 0.095)
Sn (0.992, 0.984, 0.905)
Sn (0.008, 0.016, 0.405)
Sn (0.992, 0.984, 0.595)

No. 9
A plane-wave DFT calculation with PBE-GGA was carried out for a relaxed NdAl3Br12 crystal.

Results
**SG**: P3_121 (152)
**Total energy**: -3.5684 eV per atom
**Energy relative to the elements**: -27.85 eV per formula unit

Lattice parameters (Å, degrees): 10.887 10.887 18.906 90.00 90.00 120.00
Sites, in units of the cell vectors:
Nd (0.000, 0.734, 0.667)
Nd (0.734, 0.000, 0.333)
Nd (0.266, 0.266, 0.000)
Al (0.903, 0.903, 0.500)
Al (0.340, 0.703, 0.387)
Al (0.297, 0.637, 0.721)
Al (0.363, 0.660, 0.054)
Al (0.097, 0.000, 0.833)
Al (0.000, 0.097, 0.167)
Al (0.703, 0.340, 0.613)
Al (0.660, 0.363, 0.946)
Al (0.637, 0.297, 0.279)
Br (0.291, 0.513, 0.456)
Br (0.222, 0.709, 0.123)
Br (0.487, 0.778, 0.790)
Br (0.716, 0.486, 0.710)
Br (0.514, 0.230, 0.044)
Br (0.770, 0.284, 0.377)
Br (0.230, 0.514, 0.956)
Br (0.284, 0.770, 0.623)
Br (0.486, 0.716, 0.290)
Br (0.920, 0.513, 0.556)
Br (0.487, 0.407, 0.889)
Br (0.593, 0.080, 0.223)
Br (0.407, 0.487, 0.111)
Br (0.080, 0.593, 0.777)
Br (0.513, 0.920, 0.444)
Br (0.121, 0.926, 0.531)
Br (0.074, 0.194, 0.864)
Br (0.806, 0.879, 0.198)
Br (0.194, 0.074, 0.136)
Br (0.879, 0.806, 0.802)
Br (0.926, 0.121, 0.469)
Br (0.229, 0.027, 0.731)
Br (0.973, 0.201, 0.064)
Br (0.799, 0.771, 0.398)
Br (0.201, 0.973, 0.936)
Br (0.771, 0.799, 0.602)
Br (0.027, 0.229, 0.269)
Br (0.153, 0.723, 0.350)
Br (0.277, 0.430, 0.683)
Br (0.570, 0.847, 0.016)
Br (0.430, 0.277, 0.317)
Br (0.847, 0.570, 0.984)
Br (0.723, 0.153, 0.650)
Br (0.513, 0.291, 0.544)
Br (0.709, 0.222, 0.877)
Br (0.778, 0.487, 0.210)

No. 10
A plane-wave DFT calculation with PBE-GGA was carried out for a relaxed HfNp3 crystal.

Results
**SG**: I4/mmm (139)
**Total energy**: -11.6642 eV per atom
**Magnetic moment**: 9.2 Bohr magnetons per cell
**Energy relative to the elements**: 2.14 eV per formula unit

Lattice parameters (Å, degrees): 5.509 5.509 5.509 133.28 133.28 68.22
Sites, in units of the cell vectors:
Hf (0.000, 0.000, 0.000)
Np (0.750, 0.250, 0.500)
Np (0.250, 0.750, 0.500)
Np (0.500, 0.500, 0.000)